Crystalline BaCuS2 at its relaxed geometry, computed with PBE.

Calculated formation energy = -1.33 eV per atom
Volume = 25.36 Å³/atom
Energy = -4.650 eV per atom

Structure (POSCAR):
```
BaCuS2
1.0
3.378 -5.587 0.000
3.378 5.587 0.000
0.000 0.000 5.375
Ba Cu S
2 2 4
Cartesian
3.378 -1.686 1.344 Ba
3.378 1.686 4.032 Ba
0.000 0.000 2.688 Cu
0.000 0.000 0.000 Cu
5.162 1.091 1.344 S
1.593 -1.091 4.032 S
1.593 1.091 1.344 S
5.162 -1.091 4.032 S
```



Crystalline Ba6Cu34S27 at its relaxed geometry, computed with PBE.

Calculated formation energy = -0.72 eV per atom
Volume = 17.75 Å³/atom
Energy = -4.435 eV per atom

Structure (POSCAR):
```
Ba6Cu34S27
1.0
-7.847 3.557 3.289
-3.854 -8.664 -8.159
5.693 -4.703 10.174
Ba Cu S
6 34 27
Cartesian
-3.055 -1.442 -0.539 Ba
-1.530 -1.379 10.023 Ba
-6.889 0.168 4.161 Ba
0.868 -10.062 1.179 Ba
-4.485 -8.414 -4.833 Ba
-2.881 -8.303 5.881 Ba
-8.654 -5.130 -0.117 Cu
-1.262 -3.913 3.981 Cu
-9.711 -2.123 -1.015 Cu
-0.530 -5.967 7.518 Cu
-6.113 -3.377 0.372 Cu
1.690 -2.500 4.393 Cu
-1.344 -3.465 6.997 Cu
-7.573 -0.928 -0.148 Cu
-6.663 -3.180 2.956 Cu
-3.490 -5.246 3.855 Cu
1.576 -2.488 6.993 Cu
-3.785 -2.565 3.265 Cu
-5.683 0.482 1.030 Cu
-3.683 -8.772 -1.127 Cu
1.673 -2.851 9.607 Cu
-4.020 -4.814 7.068 Cu
-4.736 -2.030 6.017 Cu
-1.267 -7.773 -0.742 Cu
-2.001 -5.016 -1.778 Cu
-7.735 -6.932 -4.264 Cu
-2.313 -1.018 6.396 Cu
-0.399 -10.276 4.290 Cu
-2.223 -7.248 2.038 Cu
-7.578 -7.326 -1.671 Cu
-2.506 -4.562 1.447 Cu
0.668 -6.649 2.344 Cu
1.550 -8.899 5.443 Cu
-4.655 -6.323 -1.696 Cu
-7.693 -7.320 0.918 Cu
0.111 -6.432 4.944 Cu
-5.459 -3.835 -2.200 Cu
3.700 -7.686 6.301 Cu
-4.739 -5.872 1.327 Cu
2.669 -4.685 5.439 Cu
-1.944 -5.286 5.663 S
-7.464 -2.788 -1.407 S
-7.133 -5.126 1.579 S
-0.205 -1.950 5.684 S
-0.088 -4.136 8.896 S
3.415 -3.749 7.340 S
-5.394 -1.654 1.740 S
-8.615 0.414 1.306 S
-5.169 -3.838 4.629 S
-1.762 -2.593 2.246 S
-2.563 -7.094 -2.555 S
-2.357 -9.375 0.657 S
-0.691 -12.095 3.019 S
-5.493 2.360 2.357 S
-3.653 -0.428 4.623 S
-7.322 3.222 3.114 S
-3.454 -2.730 7.830 S
-4.240 -7.208 3.051 S
-0.840 -5.991 0.676 S
2.602 -10.252 3.980 S
-0.609 -8.143 3.568 S
-9.398 -6.070 -2.016 S
-5.930 -5.653 -3.594 S
-5.790 -7.849 -0.395 S
1.143 -4.697 3.747 S
1.467 -7.027 6.716 S
-4.049 -4.500 -0.359 S
```



Crystalline BaCuS2 at its relaxed geometry, computed with PBE.

Calculated formation energy = -1.30 eV per atom
Volume = 24.61 Å³/atom
Energy = -4.617 eV per atom

Structure (POSCAR):
```
BaCuS2
1.0
-1.798 1.711 -4.039
-3.558 -3.121 0.262
-2.369 2.893 2.280
Ba Cu S
1 1 2
Cartesian
-3.863 0.741 -0.748 Ba
0.000 0.000 0.000 Cu
-1.779 -1.561 0.131 S
-0.899 0.855 -2.019 S
```



Crystalline BaCuS2 at its relaxed geometry, computed with PBE.

Calculated formation energy = -1.39 eV per atom
Volume = 23.37 Å³/atom
Energy = -4.710 eV per atom

Structure (POSCAR):
```
BaCuS2
1.0
-2.758 -2.022 2.954
3.277 -2.928 1.056
2.920 5.643 6.588
Ba Cu S
2 2 4
Cartesian
2.207 -0.364 1.812 Ba
0.971 3.532 6.781 Ba
-0.186 1.296 4.170 Cu
3.365 1.873 4.424 Cu
1.719 0.347 5.299 S
1.460 2.822 3.294 S
-0.934 -0.151 2.481 S
4.113 3.320 6.112 S
```



Crystalline BaCuS2 at its relaxed geometry, computed with PBE.

Calculated formation energy = -1.25 eV per atom
Volume = 22.58 Å³/atom
Energy = -4.575 eV per atom

Structure (POSCAR):
```
BaCuS2
1.0
3.891 0.000 -1.054
-0.285 3.881 -1.054
-0.405 -0.436 6.217
Ba Cu S
1 1 2
Cartesian
0.000 0.000 0.000 Ba
2.645 0.752 2.055 Cu
2.210 2.378 0.449 S
0.991 1.067 3.661 S
```



Crystalline BaCu2S2 at its relaxed geometry, computed with PBE.

Calculated formation energy = -1.13 eV per atom
Volume = 19.59 Å³/atom
Energy = -4.604 eV per atom

Structure (POSCAR):
```
BaCu2S2
1.0
4.051 0.000 0.000
0.000 9.284 0.000
0.000 0.000 10.416
Ba Cu S
4 8 8
Cartesian
3.038 2.410 7.039 Ba
1.013 6.875 3.377 Ba
3.038 7.052 8.585 Ba
1.013 2.232 1.831 Ba
1.013 0.773 4.752 Cu
3.038 8.511 5.664 Cu
1.013 5.416 0.456 Cu
3.038 3.869 9.961 Cu
1.013 5.167 6.400 Cu
3.038 4.117 4.017 Cu
1.013 0.525 9.225 Cu
3.038 8.759 1.191 Cu
3.038 1.452 9.987 S
1.013 7.832 0.429 S
3.038 6.094 5.638 S
1.013 3.190 4.779 S
1.013 9.102 6.947 S
3.038 0.182 3.470 S
1.013 4.460 8.678 S
3.038 4.824 1.738 S
```